{"formula": "Te6Mo3WSe2", "functional": "PBE", "state": "relaxed", "e_above_lowest_polymorph_ev_per_fu": 0.226, "magnetic_moment_mub_per_fu": 0.00, "sg": "P3m1", "ef_ev_per_fu": -4.601, "e_tot_ev_per_cell": -75.00, "cell": [[3.497, 0.000, 0.000], [-1.749, 3.029, 0.000], [0.000, 0.000, 39.569]], "species": ["Te", "Te", "Te", "Te", "Te", "Te", "Mo", "Mo", "Mo", "W", "Se", "Se"], "fractional_positions": [[0.000, 0.000, 0.000], [0.000, 0.000, 0.093], [0.000, 0.000, 0.376], [0.000, 0.000, 0.469], [0.333, 0.667, 0.188], [0.333, 0.667, 0.280], [0.000, 0.000, 0.234], [0.000, 0.000, 0.858], [0.333, 0.667, 0.046], [0.333, 0.667, 0.422], [0.333, 0.667, 0.818], [0.333, 0.667, 0.899]]}